Material: SrLaTaCoO6
Method: DFT, PBE+U
State: relaxed

Results
Formation energy = -3.054 eV per atom

Lattice parameters (Å, degrees): 5.6831 5.6831 27.9140 90.00 90.00 120.00
Closest atoms and distances in Å follow each position.
Atoms (fractional coordinates):
Sr1 0.0000 0.0000 0.0000  12 O 2.84-2.91
Sr2 0.0000 0.0000 0.2511  12 O 2.84-2.86
Sr3 0.3333 0.6667 0.0877  12 O 2.76-2.90
Sr4 0.3333 0.6667 0.5830  12 O 2.83-2.87
Sr5 0.6667 0.3333 0.4179  12 O 2.83-2.86
Sr6 0.6667 0.3333 0.9067  9 O 2.69-2.86
La1 0.0000 0.0000 0.5002  12 O 2.83-2.86
La2 0.0000 0.0000 0.7647  3 O 2.45
La3 0.3333 0.6667 0.3344  12 O 2.84-2.85
La4 0.3333 0.6667 0.8337  12 O 2.84-2.85
La5 0.6667 0.3333 0.1684  12 O 2.82-2.84
La6 0.6667 0.3333 0.6675  12 O 2.83-2.85
Ta1 0.0000 0.0000 0.3761  6 O 1.98
Ta2 0.3333 0.6667 0.2092  6 O 1.98
Ta3 0.3333 0.6667 0.7077  6 O 1.96-2.00
Ta4 0.3333 0.6667 0.9572  6 O 1.94-2.05
Ta5 0.6667 0.3333 0.0452  6 O 1.94-2.05
Ta6 0.6667 0.3333 0.5421  6 O 1.98-1.99
Co1 0.0000 0.0000 0.1258  6 O 2.04
Co2 0.0000 0.0000 0.6260  6 O 2.04-2.05
Co3 0.0000 0.0000 0.8753  6 O 2.02-2.06
Co4 0.3333 0.6667 0.4591  6 O 2.04
Co5 0.6667 0.3333 0.2929  6 O 2.04-2.05
Co6 0.6667 0.3333 0.7935  6 O 1.98-2.06
O1 0.0023 0.5012 0.0016  2 Ta 2.05
O2 0.0044 0.5022 0.7497  1 Ta 2.00, 1 Co 2.06
O3 0.0045 0.5023 0.2501  1 Ta 1.98, 1 Co 2.05
O4 0.1642 0.3283 0.4170  1 Ta 1.98, 1 Co 2.04
O5 0.1642 0.8358 0.4170  1 Ta 1.98, 1 Co 2.04
O6 0.1692 0.3384 0.6679  1 Ta 1.96, 1 Co 2.04
O7 0.1692 0.8308 0.6679  1 Ta 1.96, 1 Co 2.04
O8 0.1698 0.3397 0.1679  1 Ta 1.98, 1 Co 2.04
O9 0.1698 0.8302 0.1679  1 Ta 1.98, 1 Co 2.04
O10 0.1710 0.3421 0.9178  1 Ta 1.94, 1 Co 2.06
O11 0.1710 0.8290 0.9178  1 Ta 1.94, 1 Co 2.06
O12 0.3259 0.1629 0.8312  2 Co 1.98-2.02
O13 0.3277 0.1638 0.3348  1 Ta 1.98, 1 Co 2.04
O14 0.3387 0.1693 0.5835  1 Ta 1.99, 1 Co 2.05
O15 0.3435 0.1718 0.0847  1 Ta 1.94, 1 Co 2.04
O16 0.4977 0.5023 0.2501  1 Ta 1.98, 1 Co 2.05
O17 0.4978 0.5022 0.7497  1 Ta 2.00, 1 Co 2.06
O18 0.4977 0.9955 0.2501  1 Ta 1.98, 1 Co 2.05
O19 0.4978 0.9956 0.7497  1 Ta 2.00, 1 Co 2.06
O20 0.4988 0.5012 0.0016  2 Ta 2.05
O21 0.4988 0.9977 0.0016  2 Ta 2.05
O22 0.5026 0.0052 0.5012  1 Ta 1.98, 1 Co 2.04
O23 0.5026 0.4974 0.5012  1 Ta 1.98, 1 Co 2.04
O24 0.6579 0.8290 0.9178  1 Ta 1.94, 1 Co 2.06
O25 0.6603 0.8302 0.1679  1 Ta 1.98, 1 Co 2.04
O26 0.6616 0.8308 0.6679  1 Ta 1.96, 1 Co 2.04
O27 0.6717 0.8358 0.4170  1 Ta 1.98, 1 Co 2.04
O28 0.8282 0.1718 0.0847  1 Ta 1.94, 1 Co 2.04
O29 0.8282 0.6565 0.0847  1 Ta 1.94, 1 Co 2.04
O30 0.8307 0.1693 0.5835  1 Ta 1.99, 1 Co 2.05
O31 0.8307 0.6613 0.5835  1 Ta 1.99, 1 Co 2.05
O32 0.8362 0.1638 0.3348  1 Ta 1.98, 1 Co 2.04
O33 0.8362 0.6723 0.3348  1 Ta 1.98, 1 Co 2.04
O34 0.8371 0.1629 0.8312  2 Co 1.98-2.02
O35 0.8371 0.6741 0.8312  2 Co 1.98-2.02
O36 0.9948 0.4974 0.5012  1 Ta 1.98, 1 Co 2.04

***

Material: Sr3LaTa2Co2O12
Method: DFT, PBE+U
State: relaxed

Results
Excess energy over the best structure of this formula in the dataset = 0.000 eV/f.u.
Formation energy = -2.990 eV per atom

Lattice parameters (Å, degrees): 5.6888 5.6928 15.9922 90.00 90.00 90.00
Closest atoms and distances in Å follow each position.
Atoms (fractional coordinates):
Sr1 0.0000 0.0000 0.0000  12 O 2.84-2.91
Sr2 0.0000 0.0000 0.2489  12 O 2.82-2.85
Sr3 0.0000 0.0000 0.4983  12 O 2.85-2.86
Sr4 0.5000 0.5000 0.0028  12 O 2.81-2.99
Sr5 0.5000 0.5000 0.4964  12 O 2.80-2.91
Sr6 0.5000 0.5000 0.7476  12 O 2.80-2.85
La1 0.0000 0.0000 0.7498  12 O 2.72-2.85
La2 0.5000 0.5000 0.2446  12 O 2.71-2.86
Ta1 0.0000 0.5000 0.3698  6 O 1.92-2.06
Ta2 0.0000 0.5000 0.6229  6 O 1.97-1.99
Ta3 0.0000 0.5000 0.8768  6 O 1.91-2.07
Ta4 0.5000 0.0000 0.1237  6 O 1.97-2.00
Co1 0.0000 0.5000 0.1240  6 O 2.01-2.04
Co2 0.5000 0.0000 0.3764  6 O 2.04-2.11
Co3 0.5000 0.0000 0.6225  2 O 1.83-1.85
Co4 0.5000 0.0000 0.8692  6 O 2.05-2.10
O1 0.0000 0.5000 0.2498  1 Ta 1.92, 1 Co 2.01
O2 0.0000 0.5000 0.4989  2 Ta 1.98-2.06
O3 0.0000 0.5000 0.7475  2 Ta 1.99-2.07
O4 0.0000 0.5000 0.9965  1 Ta 1.91, 1 Co 2.04
O5 0.2409 0.2492 0.8665  1 Ta 1.99, 1 Co 2.05
O6 0.2411 0.2514 0.6263  1 Ta 1.97, 1 Co 2.05
O7 0.2411 0.7486 0.6263  1 Ta 1.97, 1 Co 2.05
O8 0.2409 0.7508 0.8665  1 Ta 1.99, 1 Co 2.05
O9 0.2495 0.2574 0.3732  1 Ta 1.98, 1 Co 2.04
O10 0.2495 0.7426 0.3732  1 Ta 1.98, 1 Co 2.04
O11 0.2585 0.2521 0.1283  1 Ta 1.99, 1 Co 2.04
O12 0.2585 0.7479 0.1283  1 Ta 1.99, 1 Co 2.04
O13 0.5000 0.0000 0.0005  1 Ta 1.97, 1 Co 2.10
O14 0.5000 0.0000 0.2487  1 Ta 2.00, 1 Co 2.04
O15 0.5000 0.0000 0.5082  1 Co 1.83
O16 0.5000 0.0000 0.7384  1 Co 1.85
O17 0.7415 0.2521 0.1283  1 Ta 1.99, 1 Co 2.04
O18 0.7415 0.7479 0.1283  1 Ta 1.99, 1 Co 2.04
O19 0.7505 0.2574 0.3732  1 Ta 1.98, 1 Co 2.04
O20 0.7505 0.7426 0.3732  1 Ta 1.98, 1 Co 2.04
O21 0.7591 0.2492 0.8665  1 Ta 1.99, 1 Co 2.05
O22 0.7589 0.2514 0.6263  1 Ta 1.97, 1 Co 2.05
O23 0.7589 0.7486 0.6263  1 Ta 1.97, 1 Co 2.05
O24 0.7591 0.7508 0.8665  1 Ta 1.99, 1 Co 2.05

***

Material: La3TaCo2O9
Method: DFT, PBE+U
State: relaxed

Results
Formation energy = -3.125 eV per atom

Lattice parameters (Å, degrees): 8.0384 5.7829 18.6898 90.00 115.38 90.00
Closest atoms and distances in Å follow each position.
Atoms (fractional coordinates):
La1 0.0772 0.0436 0.3379  4 O 2.30-2.52
La2 0.0772 0.4564 0.8379  4 O 2.30-2.52
La3 0.2349 0.5591 0.5040  5 O 2.36-2.64
La4 0.2349 0.9409 0.0040  5 O 2.36-2.64
La5 0.3914 0.0509 0.6546  5 O 2.32-2.57
La6 0.3914 0.4491 0.1546  5 O 2.32-2.57
La7 0.6086 0.5509 0.8454  5 O 2.32-2.57
La8 0.6086 0.9491 0.3454  5 O 2.32-2.57
La9 0.7651 0.0591 0.9960  5 O 2.36-2.64
La10 0.7651 0.4409 0.4960  5 O 2.36-2.64
La11 0.9228 0.5436 0.1621  4 O 2.30-2.52
La12 0.9228 0.9564 0.6621  4 O 2.30-2.52
Ta1 0.3356 0.5011 0.3333  6 O 1.99-2.02
Ta2 0.3356 0.9989 0.8333  6 O 1.99-2.02
Ta3 0.6644 0.0011 0.1667  6 O 1.99-2.02
Ta4 0.6644 0.4989 0.6667  6 O 1.99-2.02
Co1 0.0000 0.0000 0.5000  6 O 2.11-2.14
Co2 0.0000 0.5000 0.0000  6 O 2.11-2.14
Co3 0.1700 0.5036 0.6698  6 O 2.07-2.18
Co4 0.1700 0.9964 0.1698  6 O 2.07-2.18
Co5 0.5000 0.0000 0.5000  6 O 2.04-2.19
Co6 0.5000 0.5000 0.0000  6 O 2.04-2.19
Co7 0.8300 0.0036 0.8302  6 O 2.07-2.18
Co8 0.8300 0.4964 0.3302  6 O 2.07-2.18
O1 0.1175 0.1985 0.0694  2 Co 2.09-2.14
O2 0.1175 0.3015 0.5694  2 Co 2.09-2.14
O3 0.1243 0.0282 0.8634  1 Ta 2.01, 1 Co 2.18
O4 0.1243 0.4718 0.3634  1 Ta 2.01, 1 Co 2.18
O5 0.1447 0.7031 0.1026  2 Co 2.07-2.12
O6 0.1447 0.7969 0.6026  2 Co 2.07-2.12
O7 0.1913 0.1966 0.7373  1 Ta 2.02, 1 Co 2.14
O8 0.1913 0.3034 0.2373  1 Ta 2.02, 1 Co 2.14
O9 0.2161 0.7137 0.7704  1 Ta 2.01, 1 Co 2.13
O10 0.2161 0.7863 0.2704  1 Ta 2.01, 1 Co 2.13
O11 0.2267 0.5331 0.9716  2 Co 2.04-2.11
O12 0.2267 0.9669 0.4716  2 Co 2.04-2.11
O13 0.4475 0.2158 0.3968  1 Ta 2.01, 1 Co 2.18
O14 0.4475 0.2842 0.8968  1 Ta 2.01, 1 Co 2.18
O15 0.4627 0.0276 0.2014  1 Ta 1.99, 1 Co 2.17
O16 0.4627 0.4724 0.7014  1 Ta 1.99, 1 Co 2.17
O17 0.4805 0.6942 0.4274  1 Ta 1.99, 1 Co 2.19
O18 0.4805 0.8058 0.9274  1 Ta 1.99, 1 Co 2.19
O19 0.5195 0.1942 0.0726  1 Ta 1.99, 1 Co 2.19
O20 0.5195 0.3058 0.5726  1 Ta 1.99, 1 Co 2.19
O21 0.5373 0.5276 0.2986  1 Ta 1.99, 1 Co 2.17
O22 0.5373 0.9724 0.7986  1 Ta 1.99, 1 Co 2.17
O23 0.5525 0.7158 0.1032  1 Ta 2.01, 1 Co 2.18
O24 0.5525 0.7842 0.6032  1 Ta 2.01, 1 Co 2.18
O25 0.7733 0.0331 0.5284  2 Co 2.04-2.11
O26 0.7733 0.4669 0.0284  2 Co 2.04-2.11
O27 0.7839 0.2137 0.7296  1 Ta 2.01, 1 Co 2.13
O28 0.7839 0.2863 0.2296  1 Ta 2.01, 1 Co 2.13
O29 0.8087 0.6966 0.7627  1 Ta 2.02, 1 Co 2.14
O30 0.8087 0.8034 0.2627  1 Ta 2.02, 1 Co 2.14
O31 0.8553 0.2031 0.3974  2 Co 2.07-2.12
O32 0.8553 0.2969 0.8974  2 Co 2.07-2.12
O33 0.8757 0.5282 0.6366  1 Ta 2.01, 1 Co 2.18
O34 0.8757 0.9718 0.1366  1 Ta 2.01, 1 Co 2.18
O35 0.8825 0.6985 0.4306  2 Co 2.09-2.14
O36 0.8825 0.8015 0.9306  2 Co 2.09-2.14

***

Material: La2TiCoO6
Method: DFT, PBE+U
State: relaxed

Results
Formation energy = -3.327 eV per atom

Lattice parameters (Å, degrees): 5.6962 9.6965 9.6969 109.75 90.04 90.04
Closest atoms and distances in Å follow each position.
Atoms (fractional coordinates):
La1 0.0463 0.1199 0.3706  6 O 2.40-2.67
La2 0.0472 0.6181 0.8697  6 O 2.41-2.66
La3 0.4535 0.6192 0.3699  6 O 2.40-2.66
La4 0.4543 0.1202 0.8711  6 O 2.40-2.67
La5 0.5457 0.8798 0.1289  6 O 2.40-2.67
La6 0.5465 0.3808 0.6301  6 O 2.40-2.66
La7 0.9528 0.3819 0.1303  6 O 2.41-2.66
La8 0.9537 0.8801 0.6294  6 O 2.40-2.67
Ti1 0.0002 0.2496 0.7505  6 O 1.98-1.99
Ti2 0.9998 0.7504 0.2495  6 O 1.98-1.99
Ti3 0.5001 0.2497 0.2502  6 O 1.98-1.99
Ti4 0.4999 0.7503 0.7498  6 O 1.98-1.99
Co1 0.0000 0.0000 0.0000  6 O 2.11-2.13
Co2 0.0000 0.5000 0.5000  6 O 2.11-2.13
Co3 0.5000 0.0000 0.5000  6 O 2.11-2.13
Co4 0.5000 0.5000 0.0000  6 O 2.11-2.12
O1 0.0250 0.1728 0.9146  1 Ti 1.98, 1 Co 2.11
O2 0.0250 0.6726 0.4135  1 Ti 1.98, 1 Co 2.11
O3 0.2002 0.0866 0.6309  1 Ti 1.98, 1 Co 2.13
O4 0.2005 0.5870 0.1306  1 Ti 1.98, 1 Co 2.12
O5 0.2168 0.8725 0.8250  1 Ti 1.99, 1 Co 2.13
O6 0.2176 0.3732 0.3252  1 Ti 1.99, 1 Co 2.13
O7 0.2825 0.3730 0.8251  1 Ti 1.99, 1 Co 2.12
O8 0.2823 0.8733 0.3250  1 Ti 1.99, 1 Co 2.12
O9 0.2992 0.5865 0.6303  1 Ti 1.98, 1 Co 2.12
O10 0.3011 0.0861 0.1302  1 Ti 1.98, 1 Co 2.12
O11 0.4752 0.1728 0.4144  1 Ti 1.98, 1 Co 2.11
O12 0.4751 0.6719 0.9134  1 Ti 1.98, 1 Co 2.11
O13 0.5249 0.3281 0.0866  1 Ti 1.98, 1 Co 2.11
O14 0.5248 0.8272 0.5856  1 Ti 1.98, 1 Co 2.11
O15 0.6989 0.9139 0.8698  1 Ti 1.98, 1 Co 2.12
O16 0.7008 0.4135 0.3697  1 Ti 1.98, 1 Co 2.12
O17 0.7177 0.1267 0.6750  1 Ti 1.99, 1 Co 2.12
O18 0.7175 0.6270 0.1749  1 Ti 1.99, 1 Co 2.12
O19 0.7824 0.6268 0.6748  1 Ti 1.99, 1 Co 2.13
O20 0.7832 0.1275 0.1750  1 Ti 1.99, 1 Co 2.13
O21 0.7995 0.4130 0.8694  1 Ti 1.98, 1 Co 2.12
O22 0.7998 0.9134 0.3691  1 Ti 1.98, 1 Co 2.13
O23 0.9750 0.3274 0.5865  1 Ti 1.98, 1 Co 2.11
O24 0.9750 0.8272 0.0854  1 Ti 1.98, 1 Co 2.11

***

Material: La2Ti3CoO10
Method: DFT, PBE+U
State: relaxed

Results
Formation energy = -3.370 eV per atom

Lattice parameters (Å, degrees): 13.9592 13.9592 13.9592 164.21 164.21 22.40
Closest atoms and distances in Å follow each position.
Atoms (fractional coordinates):
La1 0.0798 0.0798 0.0000  8 O 2.52-2.72
La2 0.9202 0.9202 0.0000  8 O 2.52-2.72
Ti1 0.3434 0.3434 0.0000  5 O 1.83-1.97
Ti2 0.5000 0.5000 0.0000  6 O 1.92-1.96
Ti3 0.6566 0.6566 0.0000  5 O 1.83-1.97
Co1 0.7500 0.2500 0.5000  4 O 2.05
O1 0.9999 0.4999 0.5000  2 Ti 1.92
O2 0.1398 0.6398 0.5000  2 Ti 1.97
O3 0.2768 0.2768 0.0000  1 Ti 1.83
O4 0.3602 0.8602 0.5000  2 Ti 1.97
O5 0.4285 0.4285 0.0000  1 Ti 1.96
O6 0.5001 0.0001 0.5000  2 Ti 1.92
O7 0.5715 0.5715 0.0000  1 Ti 1.96
O8 0.6408 0.1408 0.5000  2 Ti 1.97
O9 0.7232 0.7232 0.0000  1 Ti 1.83
O10 0.8592 0.3592 0.5000  2 Ti 1.97

***

Record order is preserved below.
Total moment: 18.06; 12.84; 24.00; 0.00; 3.05 μB/cell